# 1
# Li2MnC2O6

A geometry-optimized Li2MnC2O6 structure (GGA+U, Materials Project).

Unit cell a=5.2341 b=7.1946 c=7.7705 alpha=90.00 beta=89.99 gamma=108.00
Last column: nearest neighbours and their distance in Å.
Sites, in units of the cell vectors:
Li 0.3870 0.7879 0.9025  4 O 1.94-2.16
Li 0.6135 0.2123 0.0974  4 O 1.94-2.16
Li 0.1130 0.7121 0.4026  4 O 1.94-2.16
Li 0.8865 0.2876 0.5974  4 O 1.94-2.16
O 0.0055 0.2695 0.1188  1 C 1.29
O 0.4156 0.0937 0.8820  1 C 1.31
O 0.4945 0.2305 0.6185  1 C 1.29
O 0.4203 0.3480 0.2382  1 C 1.30
O 0.5797 0.6517 0.7620  1 C 1.30
O 0.5848 0.9067 0.1179  1 C 1.31
O 0.9153 0.5934 0.6180  1 C 1.31
O 0.9947 0.7308 0.8812  1 C 1.29
O 0.5051 0.7693 0.3811  1 C 1.29
O 0.9203 0.8482 0.2620  1 C 1.30
O 0.0845 0.4065 0.3821  1 C 1.31
O 0.0797 0.1520 0.7382  1 C 1.30
Mn 0.4993 0.4998 0.5000  6 O 2.14-2.29
Mn 0.0006 0.0001 0.0003  6 O 2.14-2.29
C 0.1692 0.3392 0.2435  3 O 1.29-1.31
C 0.8307 0.6608 0.7565  3 O 1.29-1.31
C 0.6692 0.8393 0.2565  3 O 1.29-1.31
C 0.3307 0.1608 0.7435  3 O 1.29-1.31

Properties
Energy relative to the lowest polymorph listed for this composition in meV per atom: 14.8
ρ in g/cm³: 2.3
Crystal system: monoclinic
DFT total energy in eV/atom: -7.1193
Energy of formation in eV per atom: -2.089


# 2
# Li3Co2Si2O8

A geometry-optimized Li3Co2Si2O8 structure (GGA+U, Materials Project).

Unit cell a=5.0147 b=5.5327 c=6.1320 alpha=89.81 beta=89.84 gamma=89.66
Last column: nearest neighbours and their distance in Å.
Sites, in units of the cell vectors:
O 0.3743 0.1149 0.5004  1 Si 1.69
O 0.9015 0.3155 0.7722  1 Si 1.69
O 0.3300 0.1697 0.9987  1 Si 1.65
O 0.8877 0.8866 0.9778  1 Si 1.63
O 0.8879 0.2854 0.2247  1 Si 1.66
O 0.3955 0.6826 0.7211  1 Si 1.65
O 0.8269 0.8611 0.5206  1 Si 1.66, 1 Co 1.85
O 0.4254 0.6826 0.2830  1 Si 1.62
Li 0.4913 0.3419 0.2475  4 O 1.92-2.08
Li 0.4911 0.3366 0.7507  4 O 1.95-2.07
Li 0.9998 0.6670 0.7535  4 O 1.92-2.01
Si 0.0018 0.1605 0.9961  4 O 1.63-1.69
Si 0.4984 0.8304 0.5022  4 O 1.62-1.69
Co 0.5013 0.8395 0.0059  4 O 1.94-2.03
Co 0.9930 0.1586 0.4963  4 O 1.85-1.96

Properties
Energy relative to the lowest polymorph listed for this composition in meV per atom: 12.4
ρ in g/cm³: 3.2
Crystal system: triclinic
DFT total energy in eV/atom: -6.5045
Energy of formation in eV per atom: -2.397